Record 1
## HoCO4 (GGA-PBE)

Data for an optimized crystal structure of HoCO4.

Calculated values
Formation energy: -2.53 eV/atom
Polymorph energy (0 for the lowest one): 0 meV per atom
Size of the total moment: 18.00 Bohr magnetons per cell
Symmetry: P-6 (174)

abc: 12.0379 12.0379 9.6540
angles: 90.00 90.00 120.00
Last column: nearest neighbours and their distance in Å.
Fractional coordinates of all 108 atoms:
Ho 0.2308 0.1180 0.2612  9 O 2.32-2.59
Ho 0.8872 0.7692 0.2612  9 O 2.32-2.59
Ho 0.8820 0.1128 0.2612  9 O 2.32-2.59
Ho 0.2308 0.1180 0.7388  9 O 2.32-2.59
Ho 0.8872 0.7692 0.7388  9 O 2.32-2.59
Ho 0.8820 0.1128 0.7388  9 O 2.32-2.59
Ho 0.5631 0.7866 0.2428  9 O 2.34-2.56
Ho 0.2235 0.4369 0.2428  9 O 2.34-2.56
Ho 0.2134 0.7765 0.2428  9 O 2.34-2.56
Ho 0.5631 0.7866 0.7572  9 O 2.34-2.56
Ho 0.2235 0.4369 0.7572  9 O 2.34-2.56
Ho 0.2134 0.7765 0.7572  9 O 2.34-2.56
Ho 0.5441 0.1017 0.2428  9 O 2.31-2.54
Ho 0.5576 0.4559 0.2428  9 O 2.31-2.54
Ho 0.8983 0.4424 0.2428  9 O 2.31-2.54
Ho 0.5441 0.1017 0.7572  9 O 2.31-2.54
Ho 0.5576 0.4559 0.7572  9 O 2.31-2.54
Ho 0.8983 0.4424 0.7572  9 O 2.31-2.54
C 0.5089 0.6507 0.5000  3 O 1.29-1.30
C 0.1418 0.4911 0.5000  3 O 1.29-1.30
C 0.3493 0.8582 0.5000  3 O 1.29-1.30
C 0.1140 0.2035 0.5000  3 O 1.29-1.30
C 0.0896 0.8860 0.5000  3 O 1.29-1.30
C 0.7965 0.9104 0.5000  3 O 1.29-1.30
C 0.4681 0.1601 0.5000  3 O 1.29
C 0.6920 0.5319 0.5000  3 O 1.29
C 0.8399 0.3080 0.5000  3 O 1.29
C 0.4218 0.8715 0.0000  3 O 1.29
C 0.4498 0.5782 0.0000  3 O 1.29
C 0.1285 0.5502 0.0000  3 O 1.29
C 0.7753 0.2375 0.0000  3 O 1.29-1.30
C 0.4622 0.2247 0.0000  3 O 1.29-1.30
C 0.7625 0.5378 0.0000  3 O 1.29-1.30
C 0.1826 0.2008 0.0000  3 O 1.29-1.30
C 0.0182 0.8174 0.0000  3 O 1.29-1.30
C 0.7992 0.9818 0.0000  3 O 1.29-1.30
O 0.5164 0.7623 0.5000  1 C 1.30
O 0.2460 0.4836 0.5000  1 C 1.30
O 0.2377 0.7540 0.5000  1 C 1.30
O 0.5073 0.5998 0.3820  1 C 1.29
O 0.0925 0.4927 0.3820  1 C 1.29
O 0.4002 0.9075 0.3820  1 C 1.29
O 0.5073 0.5998 0.6180  1 C 1.29
O 0.0925 0.4927 0.6180  1 C 1.29
O 0.4002 0.9075 0.6180  1 C 1.29
O 0.1761 0.1413 0.5000  1 C 1.30
O 0.9652 0.8239 0.5000  1 C 1.30
O 0.8587 0.0348 0.5000  1 C 1.30
O 0.1494 0.9160 0.3828  1 C 1.29
O 0.7666 0.8506 0.3828  1 C 1.29
O 0.0840 0.2334 0.3828  1 C 1.29
O 0.1494 0.9160 0.6172  1 C 1.29
O 0.7666 0.8506 0.6172  1 C 1.29
O 0.0840 0.2334 0.6172  1 C 1.29
O 0.5729 0.1551 0.5000  1 C 1.29
O 0.5821 0.4271 0.5000  1 C 1.29
O 0.8449 0.4179 0.5000  1 C 1.29
O 0.4169 0.1600 0.3828  1 C 1.29
O 0.7431 0.5831 0.3828  1 C 1.29
O 0.8400 0.2569 0.3828  1 C 1.29
O 0.4169 0.1600 0.6172  1 C 1.29
O 0.7431 0.5831 0.6172  1 C 1.29
O 0.8400 0.2569 0.6172  1 C 1.29
O 0.5056 0.7019 0.0000  1 C 1.29
O 0.1962 0.4944 0.0000  1 C 1.29
O 0.2981 0.8038 0.0000  1 C 1.29
O 0.4831 0.9054 0.1164  1 C 1.29
O 0.4223 0.5169 0.1164  1 C 1.29
O 0.0946 0.5777 0.1164  1 C 1.29
O 0.4831 0.9054 0.8836  1 C 1.29
O 0.4223 0.5169 0.8836  1 C 1.29
O 0.0946 0.5777 0.8836  1 C 1.29
O 0.5170 0.1553 0.0000  1 C 1.30
O 0.6382 0.4830 0.0000  1 C 1.30
O 0.8447 0.3618 0.0000  1 C 1.30
O 0.7420 0.1776 0.1171  1 C 1.29
O 0.4357 0.2580 0.1171  1 C 1.29
O 0.8224 0.5643 0.1171  1 C 1.29
O 0.7420 0.1776 0.8829  1 C 1.29
O 0.4357 0.2580 0.8829  1 C 1.29
O 0.8224 0.5643 0.8829  1 C 1.29
O 0.1849 0.0944 0.0000  1 C 1.30
O 0.9094 0.8151 0.0000  1 C 1.30
O 0.9056 0.0906 0.0000  1 C 1.30
O 0.1826 0.2519 0.1171  1 C 1.29
O 0.0693 0.8174 0.1171  1 C 1.29
O 0.7481 0.9307 0.1171  1 C 1.29
O 0.1826 0.2519 0.8829  1 C 1.29
O 0.0693 0.8174 0.8829  1 C 1.29
O 0.7481 0.9307 0.8829  1 C 1.29
O 0.0000 0.0000 0.2436  3 Ho 2.41
O 0.0000 0.0000 0.7564  3 Ho 2.41
O 0.3333 0.6667 0.2495  3 Ho 2.40
O 0.3333 0.6667 0.7505  3 Ho 2.40
O 0.6667 0.3333 0.2560  3 Ho 2.42
O 0.6667 0.3333 0.7440  3 Ho 2.42
O 0.6749 0.6791 0.1923  3 Ho 2.32-2.38, 3 O 2.52-2.57
O 0.0041 0.3251 0.1923  3 Ho 2.32-2.38, 3 O 2.52-2.57
O 0.3209 0.9959 0.1923  3 Ho 2.32-2.38, 3 O 2.52-2.57
O 0.6749 0.6791 0.8077  3 Ho 2.32-2.38, 3 O 2.52-2.57
O 0.0041 0.3251 0.8077  3 Ho 2.32-2.38, 3 O 2.52-2.57
O 0.3209 0.9959 0.8077  3 Ho 2.32-2.38, 3 O 2.52-2.57
O 0.6593 0.0030 0.3059  3 Ho 2.31-2.36, 2 O 2.48-2.58
O 0.3437 0.3407 0.3059  3 Ho 2.31-2.36, 2 O 2.48-2.58
O 0.9970 0.6563 0.3059  3 Ho 2.31-2.36, 2 O 2.48-2.58
O 0.6593 0.0030 0.6941  3 Ho 2.31-2.36, 2 O 2.48-2.58
O 0.3437 0.3407 0.6941  3 Ho 2.31-2.36, 2 O 2.48-2.58
O 0.9970 0.6563 0.6941  3 Ho 2.31-2.36, 2 O 2.48-2.58

---

Record 2
## Ho9Sb5CO4 (GGA-PBE)

Data for an optimized crystal structure of Ho9Sb5CO4.

Calculated values
Formation energy: -2.06 eV/atom
Size of the total moment: 0.00 Bohr magnetons per cell
Symmetry: P4/n (85)

abc: 9.8977 9.8977 8.9507
angles: 90.00 90.00 90.00
Last column: nearest neighbours and their distance in Å.
Fractional coordinates of all 38 atoms:
Ho 0.5000 0.0000 0.3135  1 C 2.26
Ho 0.0000 0.5000 0.6865  1 C 2.26
Ho 0.6048 0.2955 0.6628  1 O 2.21
Ho 0.3952 0.7045 0.6628  1 O 2.21
Ho 0.2045 0.1048 0.6628  1 O 2.21
Ho 0.7955 0.8952 0.6628  1 O 2.21
Ho 0.8952 0.2045 0.3372  1 O 2.21
Ho 0.1048 0.7955 0.3372  1 O 2.21
Ho 0.2955 0.3952 0.3372  1 O 2.21
Ho 0.7045 0.6048 0.3372  1 O 2.21
Ho 0.4196 0.2242 0.9973  3 O 2.21-2.31, 1 C 2.42
Ho 0.5804 0.7758 0.9973  3 O 2.21-2.31, 1 C 2.42
Ho 0.2758 0.9196 0.9973  3 O 2.21-2.31, 1 C 2.42
Ho 0.7242 0.0804 0.9973  3 O 2.21-2.31, 1 C 2.42
Ho 0.0804 0.2758 0.0027  3 O 2.21-2.31, 1 C 2.42
Ho 0.9196 0.7242 0.0027  3 O 2.21-2.31, 1 C 2.42
Ho 0.2242 0.5804 0.0027  3 O 2.21-2.31, 1 C 2.42
Ho 0.7758 0.4196 0.0027  3 O 2.21-2.31, 1 C 2.42
Sb 0.5000 0.0000 0.6743  5 Ho 3.11-3.23, 1 C 3.46
Sb 0.0000 0.5000 0.3257  5 Ho 3.11-3.23, 1 C 3.46
Sb 0.5973 0.3071 0.3082  7 Ho 3.12-3.44, 1 O 3.49
Sb 0.4027 0.6929 0.3082  7 Ho 3.12-3.44, 1 O 3.49
Sb 0.1929 0.0973 0.3082  7 Ho 3.12-3.44, 1 O 3.49
Sb 0.8071 0.9027 0.3082  7 Ho 3.12-3.44, 1 O 3.49
Sb 0.9027 0.1929 0.6918  7 Ho 3.12-3.44, 1 O 3.49
Sb 0.0973 0.8071 0.6918  7 Ho 3.12-3.44, 1 O 3.49
Sb 0.3071 0.4027 0.6918  7 Ho 3.12-3.44, 1 O 3.49
Sb 0.6929 0.5973 0.6918  7 Ho 3.12-3.44, 1 O 3.49
C 0.5000 0.0000 0.0606  5 Ho 2.26-2.42
C 0.0000 0.5000 0.9394  5 Ho 2.26-2.42
O 0.6212 0.2741 0.9079  4 Ho 2.21-2.31
O 0.3788 0.7259 0.9079  4 Ho 2.21-2.31
O 0.2259 0.1212 0.9079  4 Ho 2.21-2.31
O 0.7741 0.8788 0.9079  4 Ho 2.21-2.31
O 0.8788 0.2259 0.0921  4 Ho 2.21-2.31
O 0.1212 0.7741 0.0921  4 Ho 2.21-2.31
O 0.2741 0.3788 0.0921  4 Ho 2.21-2.31
O 0.7259 0.6212 0.0921  4 Ho 2.21-2.31

---

Record 3
## Ho2OsC2 (GGA-PBE)

Data for an optimized crystal structure of Ho2OsC2.

Calculated values
Formation energy: -0.40 eV/atom
Symmetry: Pnma (62)

abc: 5.1048 6.4214 9.7814
angles: 90.00 90.00 90.00
Last column: nearest neighbours and their distance in Å.
Fractional coordinates of all 20 atoms:
Ho 0.2500 0.6851 0.5526  5 C 2.46-2.57
Ho 0.7500 0.3149 0.4474  5 C 2.46-2.57
Ho 0.7500 0.8149 0.0526  5 C 2.46-2.57
Ho 0.2500 0.1851 0.9474  5 C 2.46-2.57
Ho 0.2500 0.5235 0.2209  4 C 2.53-2.56
Ho 0.7500 0.4765 0.7791  4 C 2.53-2.56
Ho 0.7500 0.9765 0.7209  4 C 2.53-2.56
Ho 0.2500 0.0235 0.2791  4 C 2.53-2.56
Os 0.2500 0.7266 0.8653  3 C 1.94-1.99
Os 0.7500 0.2734 0.1347  3 C 1.94-1.99
Os 0.7500 0.7734 0.3653  3 C 1.94-1.99
Os 0.2500 0.2266 0.6347  3 C 1.94-1.99
C 0.2500 0.4630 0.7577  2 Os 1.94-1.99
C 0.7500 0.5370 0.2423  2 Os 1.94-1.99
C 0.7500 0.0370 0.2577  2 Os 1.94-1.99
C 0.2500 0.9630 0.7423  2 Os 1.94-1.99
C 0.2500 0.8239 0.0541  1 Os 1.95
C 0.7500 0.1761 0.9459  1 Os 1.95
C 0.7500 0.6761 0.5541  1 Os 1.95
C 0.2500 0.3239 0.4459  1 Os 1.95

---

Record 4
## Ho8Rh5C12 (GGA-PBE)

Data for an optimized crystal structure of Ho8Rh5C12.

Calculated values
Formation energy: -0.40 eV/atom
Size of the total moment: 0.09 Bohr magnetons per cell
Symmetry: C2/m (12)

abc: 3.5340 7.3991 14.0540
angles: 94.07 97.22 90.00
Last column: nearest neighbours and their distance in Å.
Fractional coordinates of all 25 atoms:
Ho 0.2935 0.8841 0.5871  5 C 2.40-2.55
Ho 0.7065 0.1159 0.4129  5 C 2.40-2.55
Ho 0.3002 0.3908 0.6005  3 C 2.33-2.59
Ho 0.6998 0.6092 0.3995  3 C 2.33-2.59
Ho 0.4120 0.1717 0.8239  6 C 2.57-2.65
Ho 0.5880 0.8283 0.1761  6 C 2.57-2.65
Ho 0.4529 0.7034 0.9058  4 C 2.64-2.94, 2 Rh 2.82
Ho 0.5471 0.2966 0.0942  4 C 2.64-2.94, 2 Rh 2.82
Rh 0.0000 0.0000 0.0000  2 C 1.96
Rh 0.1101 0.4933 0.2203  2 C 2.01-2.02
Rh 0.8899 0.5067 0.7797  2 C 2.01-2.02
Rh 0.1165 0.1274 0.2331  2 C 2.10-2.29
Rh 0.8835 0.8726 0.7669  2 C 2.10-2.29
C 0.0228 0.7549 0.0455  1 C 1.30
C 0.9772 0.2451 0.9545  1 C 1.30
C 0.0478 0.6138 0.0956  1 C 1.30
C 0.9522 0.3862 0.9044  1 C 1.30
C 0.1685 0.3471 0.3370  1 C 1.34
C 0.8315 0.6529 0.6630  1 C 1.34
C 0.2165 0.3648 0.4330  1 C 1.34
C 0.7835 0.6352 0.5670  1 C 1.34
C 0.1586 0.8732 0.3173  1 C 1.36
C 0.8414 0.1268 0.6827  1 C 1.36
C 0.2073 0.8690 0.4145  1 C 1.36
C 0.7927 0.1310 0.5855  1 C 1.36

---

Record 5
## Ho7Ru2C11 (GGA-PBE)

Data for an optimized crystal structure of Ho7Ru2C11.

Calculated values
Formation energy: -0.28 eV/atom
Size of the total moment: 0.01 Bohr magnetons per cell
Symmetry: Cmcm (63)

abc: 3.4271 8.4359 19.8343
angles: 90.00 90.00 101.72
Last column: nearest neighbours and their distance in Å.
Fractional coordinates of all 40 atoms:
Ho 0.8975 0.7949 0.2500  6 C 2.45-2.60
Ho 0.1025 0.2051 0.7500  6 C 2.45-2.60
Ho 0.2783 0.5565 0.6550  9 C 2.48-2.72
Ho 0.7217 0.4435 0.3450  9 C 2.48-2.72
Ho 0.7217 0.4435 0.1550  9 C 2.48-2.72
Ho 0.2783 0.5565 0.8450  9 C 2.48-2.72
Ho 0.3385 0.6769 0.0193  5 C 2.36-2.54
Ho 0.6615 0.3231 0.9807  5 C 2.36-2.54
Ho 0.6615 0.3231 0.5193  5 C 2.36-2.54
Ho 0.3385 0.6769 0.4807  5 C 2.36-2.54
Ho 0.5227 0.0453 0.1272  5 C 2.46-2.58
Ho 0.4773 0.9547 0.8728  5 C 2.46-2.58
Ho 0.4773 0.9547 0.6272  5 C 2.46-2.58
Ho 0.5227 0.0453 0.3728  5 C 2.46-2.58
Ru 0.0811 0.1622 0.2500  3 C 1.94-2.14
Ru 0.9189 0.8378 0.7500  3 C 1.94-2.14
Ru 0.0000 0.0000 0.0000  2 C 1.99
Ru 0.0000 0.0000 0.5000  2 C 1.99
C 0.2791 0.5581 0.2500  1 C 1.33
C 0.7209 0.4419 0.7500  1 C 1.33
C 0.5034 0.0068 0.2500  2 Ru 2.14
C 0.4966 0.9932 0.7500  2 Ru 2.14
C 0.0739 0.1479 0.5794  1 C 1.30
C 0.9261 0.8521 0.4206  1 C 1.30
C 0.9261 0.8521 0.0794  1 C 1.30
C 0.0739 0.1479 0.9206  1 C 1.30
C 0.1332 0.2664 0.6229  1 C 1.30
C 0.8668 0.7336 0.3771  1 C 1.30
C 0.8668 0.7336 0.1229  1 C 1.30
C 0.1332 0.2664 0.8771  1 C 1.30
C 0.2059 0.4119 0.0633  1 C 1.37
C 0.7941 0.5881 0.9367  1 C 1.37
C 0.7941 0.5881 0.5633  1 C 1.37
C 0.2059 0.4119 0.4367  1 C 1.37
C 0.1985 0.3971 0.2500  1 C 1.33
C 0.8015 0.6029 0.7500  1 C 1.33
C 0.1269 0.2538 0.0841  1 C 1.37
C 0.8731 0.7462 0.9159  1 C 1.37
C 0.8731 0.7462 0.5841  1 C 1.37
C 0.1269 0.2538 0.4159  1 C 1.37

---

Record 6
## HoWC2 (GGA-PBE)

Data for an optimized crystal structure of HoWC2.

Calculated values
Formation energy: -0.30 eV/atom
Symmetry: Pnma (62)

abc: 3.3658 5.7157 10.7908
angles: 90.00 90.00 90.00
Last column: nearest neighbours and their distance in Å.
Fractional coordinates of all 16 atoms:
Ho 0.2500 0.5853 0.3634  7 C 2.44-2.58
Ho 0.2500 0.0853 0.1366  7 C 2.44-2.58
Ho 0.7500 0.4147 0.6366  7 C 2.44-2.58
Ho 0.7500 0.9147 0.8634  7 C 2.44-2.58
W 0.2500 0.9027 0.6106  4 C 2.02-2.13
W 0.2500 0.4027 0.8894  4 C 2.02-2.13
W 0.7500 0.0973 0.3894  4 C 2.02-2.13
W 0.7500 0.5973 0.1106  4 C 2.02-2.13
C 0.2500 0.6604 0.7473  2 W 2.02-2.13
C 0.2500 0.1604 0.7527  2 W 2.02-2.13
C 0.7500 0.3396 0.2527  2 W 2.02-2.13
C 0.7500 0.8396 0.2473  2 W 2.02-2.13
C 0.2500 0.2250 0.4854  3 W 2.11-2.28
C 0.2500 0.7250 0.0146  3 W 2.11-2.28
C 0.7500 0.7750 0.5146  3 W 2.11-2.28
C 0.7500 0.2750 0.9854  3 W 2.11-2.28

---

Record 7
## YHoC4 (GGA-PBE)

Data for an optimized crystal structure of YHoC4.

Calculated values
Formation energy: -0.19 eV/atom
Size of the total moment: 0.00 Bohr magnetons per cell
Symmetry: P4/mmm (123)

abc: 3.6631 3.6631 6.2041
angles: 90.00 90.00 90.00
Last column: nearest neighbours and their distance in Å.
Fractional coordinates of all 6 atoms:
Y 0.0000 0.0000 0.0000  10 C 2.45-2.67
Ho 0.5000 0.5000 0.5000  10 C 2.45-2.67
C 0.0000 0.0000 0.3950  1 C 1.30
C 0.5000 0.5000 0.8949  1 C 1.30
C 0.5000 0.5000 0.1051  1 C 1.30
C 0.0000 0.0000 0.6050  1 C 1.30

---

Record 8
## YHoC4 (GGA-PBE)

Data for an optimized crystal structure of YHoC4.

Calculated values
Formation energy: -0.19 eV/atom
Size of the total moment: 0.00 Bohr magnetons per cell
Symmetry: Cmmm (65)

abc: 4.0407 4.0407 5.1812
angles: 90.00 90.00 100.24
Last column: nearest neighbours and their distance in Å.
Fractional coordinates of all 6 atoms:
Y 0.0000 0.0000 0.0000  10 C 2.45-2.67
Ho 0.5000 0.5000 0.5000  10 C 2.45-2.67
C 0.6048 0.3952 0.0000  1 C 1.30
C 0.1052 0.8948 0.5000  1 C 1.30
C 0.8948 0.1052 0.5000  1 C 1.30
C 0.3952 0.6048 0.0000  1 C 1.30

---

Record 9
## Y3HoC8 (GGA-PBE)

Data for an optimized crystal structure of Y3HoC8.

Calculated values
Formation energy: -0.19 eV/atom
Size of the total moment: 0.00 Bohr magnetons per cell
Symmetry: P4/mmm (123)

abc: 3.6904 3.6904 12.3908
angles: 90.00 90.00 90.00
Last column: nearest neighbours and their distance in Å.
Fractional coordinates of all 12 atoms:
Y 0.5000 0.5000 0.2500  10 C 2.44-2.69
Y 0.0000 0.0000 0.5000  10 C 2.45-2.69
Y 0.5000 0.5000 0.7500  10 C 2.44-2.69
Ho 0.0000 0.0000 0.0000  10 C 2.44-2.69
C 0.0000 0.0000 0.1969  1 C 1.31
C 0.5000 0.5000 0.4474  1 C 1.30
C 0.0000 0.0000 0.6977  1 C 1.31
C 0.5000 0.5000 0.9473  1 C 1.31
C 0.5000 0.5000 0.0527  1 C 1.31
C 0.0000 0.0000 0.3023  1 C 1.31
C 0.5000 0.5000 0.5526  1 C 1.30
C 0.0000 0.0000 0.8031  1 C 1.31

---

Record 10
## La10C4I15 (GGA-PBE)

Data for an optimized crystal structure of La10C4I15.

Calculated values
Formation energy: -1.48 eV/atom
Symmetry: P-1 (2)

abc: 9.9349 10.8250 11.9506
angles: 93.70 114.46 109.24
Last column: nearest neighbours and their distance in Å.
Fractional coordinates of all 29 atoms:
La 0.5978 0.5405 0.3423  1 C 2.36
La 0.3433 0.7466 0.1651  2 C 2.64-2.65
La 0.7793 0.8854 0.2590  2 C 2.67
La 0.5288 0.1870 0.1035  1 C 2.36
La 0.2207 0.1146 0.7410  2 C 2.67
La 0.4022 0.4595 0.6577  1 C 2.36
La 0.4712 0.8130 0.8965  1 C 2.36
La 0.7052 0.5676 0.0445  4 C 2.77-2.83
La 0.2948 0.4324 0.9555  4 C 2.77-2.83
La 0.6567 0.2534 0.8349  2 C 2.64-2.65
C 0.4818 0.2991 0.9366  1 C 1.41
C 0.5182 0.7009 0.0634  1 C 1.41
C 0.4527 0.3611 0.8335  1 C 1.41
C 0.5473 0.6389 0.1665  1 C 1.41
I 0.2059 0.9063 0.9372  4 La 3.31-3.37
I 0.1033 0.1877 0.4655  3 La 3.24-3.55
I 0.1495 0.5544 0.7035  3 La 3.23-3.33
I 0.4049 0.9683 0.6455  3 La 3.20-3.46
I 0.7152 0.7338 0.8220  3 La 3.23-3.32
I 0.2848 0.2662 0.1780  3 La 3.23-3.32
I 0.8505 0.4456 0.2965  3 La 3.23-3.33
I 0.8967 0.8123 0.5345  3 La 3.24-3.55
I 0.3583 0.6301 0.4130  3 La 3.22-3.51
I 0.0557 0.8337 0.2209  2 La 3.17-3.38
I 0.7941 0.0937 0.0628  4 La 3.31-3.37
I 0.6417 0.3699 0.5870  3 La 3.22-3.51
I 0.9443 0.1663 0.7791  2 La 3.17-3.38
I 0.5951 0.0317 0.3545  3 La 3.20-3.46
I 0.0000 0.5000 0.0000  4 La 3.22-3.47